Computed, not measured: DyFe2O4 after structural relaxation at the PBE with a Hubbard U level of DFT.

POSCAR file:
```
DyFe2O4
1.0
1.773 1.024 8.385
-1.773 1.024 8.385
0.000 -2.048 8.385
Dy Fe O
1 2 4
Direct
0.000 0.000 0.000
0.213 0.213 0.213
0.787 0.787 0.787
0.128 0.128 0.128
0.292 0.292 0.292
0.708 0.708 0.708
0.872 0.872 0.872
```

Formation energy, eV/f.u.: -16.5